1.
Entry from the Materials Project: a relaxed structure of SmSi (PBE-GGA).

Calculated values
DFT formation energy in eV/atom: -0.758

Lattice parameters (Å, degrees): 8.1598 3.9017 5.8425 90.00 90.00 90.00
With the nearest neighbours (Å) after each atom.
Fractional positions:
Sm 0.1796 0.2500 0.1145  7 Si 3.03-3.23
Sm 0.3204 0.7500 0.6145  7 Si 3.03-3.23
Sm 0.6796 0.2500 0.3855  7 Si 3.03-3.23
Sm 0.8204 0.7500 0.8855  7 Si 3.03-3.23
Si 0.0366 0.2500 0.6252  2 Si 2.51
Si 0.4634 0.7500 0.1252  2 Si 2.51
Si 0.5366 0.2500 0.8748  2 Si 2.51
Si 0.9634 0.7500 0.3748  2 Si 2.51


2.
Entry from the Materials Project: a relaxed structure of Ba3Sr (PBE-GGA).

Calculated values
Relative energy among the computed polymorphs in meV per atom: 13
DFT formation energy in eV/atom: 0.014

Lattice parameters (Å, degrees): 7.8510 7.8510 7.8510 133.04 133.04 68.59
With the nearest neighbours (Å) after each atom.
Fractional positions:
Ba 0.0000 0.0000 0.0000  4 Sr 4.42, 8 Ba 4.51
Ba 0.2500 0.7500 0.5000  8 Ba 4.42-4.51, 4 Sr 4.51
Ba 0.7500 0.2500 0.5000  8 Ba 4.42-4.51, 4 Sr 4.51
Sr 0.5000 0.5000 0.0000  12 Ba 4.42-4.51


3.
Entry from the Materials Project: a relaxed structure of Mn3CrTe4 (PBE-GGA).

Calculated values
Total magnetization in μB/f.u.: 16.52
DFT formation energy in eV/atom: -0.292

Lattice parameters (Å, degrees): 4.2162 4.2162 12.0612 90.00 90.00 120.00
With the nearest neighbours (Å) after each atom.
Fractional positions:
Mn 0.0000 0.0000 0.0000  6 Te 2.87, 2 Mn 2.95
Mn 0.0000 0.0000 0.2447  6 Te 2.82-2.91, 1 Mn 2.95, 1 Cr 3.08
Mn 0.0000 0.0000 0.7553  6 Te 2.82-2.91, 1 Mn 2.95, 1 Cr 3.08
Cr 0.0000 0.0000 0.5000  6 Te 2.85, 2 Mn 3.08
Te 0.3333 0.6667 0.3774  3 Cr 2.85, 3 Mn 2.91
Te 0.3333 0.6667 0.8741  6 Mn 2.82-2.87
Te 0.6667 0.3333 0.1259  6 Mn 2.82-2.87
Te 0.6667 0.3333 0.6226  3 Cr 2.85, 3 Mn 2.91


4.
Entry from the Materials Project: a relaxed structure of Na3La (PBE-GGA).

Calculated values
Relative energy among the computed polymorphs in meV per atom: 0
Total magnetization in μB/f.u.: 0.08
DFT formation energy in eV/atom: 0.290

Lattice parameters (Å, degrees): 7.5384 7.5384 5.8973 90.00 90.00 120.00
With the nearest neighbours (Å) after each atom.
Fractional positions:
Na 0.1602 0.3204 0.2500  8 Na 3.62-3.92, 4 La 3.72-3.77
Na 0.1602 0.8398 0.2500  8 Na 3.62-3.92, 4 La 3.72-3.77
Na 0.3204 0.1602 0.7500  8 Na 3.62-3.92, 4 La 3.72-3.77
Na 0.6796 0.8398 0.2500  8 Na 3.62-3.92, 4 La 3.72-3.77
Na 0.8398 0.1602 0.7500  8 Na 3.62-3.92, 4 La 3.72-3.77
Na 0.8398 0.6796 0.7500  8 Na 3.62-3.92, 4 La 3.72-3.77
La 0.3333 0.6667 0.7500  12 Na 3.72-3.77
La 0.6667 0.3333 0.2500  12 Na 3.72-3.77


5.
Entry from the Materials Project: a relaxed structure of Eu3O4 (PBE-GGA).

Calculated values
Total magnetization in μB/f.u.: 19.00
DFT formation energy in eV/atom: -3.232

Lattice parameters (Å, degrees): 10.1344 3.4918 12.2816 90.00 90.00 90.00
With the nearest neighbours (Å) after each atom.
Fractional positions:
Eu 0.0757 0.2500 0.1124  6 O 2.27-2.50
Eu 0.0822 0.2500 0.6127  6 O 2.33-2.49
Eu 0.2429 0.2500 0.8511  7 O 2.49-2.63
Eu 0.2571 0.7500 0.3511  7 O 2.49-2.63
Eu 0.4178 0.7500 0.1127  6 O 2.33-2.49
Eu 0.4243 0.7500 0.6124  6 O 2.27-2.50
Eu 0.5757 0.2500 0.3876  6 O 2.27-2.50
Eu 0.5822 0.2500 0.8873  6 O 2.33-2.49
Eu 0.7429 0.2500 0.6489  7 O 2.49-2.63
Eu 0.7571 0.7500 0.1489  7 O 2.49-2.63
Eu 0.9178 0.7500 0.3873  6 O 2.33-2.49
Eu 0.9243 0.7500 0.8876  6 O 2.27-2.50
O 0.0077 0.2500 0.7919  4 Eu 2.27-2.49
O 0.0789 0.2500 0.4156  5 Eu 2.42-2.63
O 0.1392 0.7500 0.9767  5 Eu 2.44-2.56
O 0.2219 0.7500 0.6990  5 Eu 2.31-2.57
O 0.2781 0.2500 0.1990  5 Eu 2.31-2.57
O 0.3608 0.2500 0.4767  5 Eu 2.44-2.56
O 0.4211 0.7500 0.9156  5 Eu 2.42-2.63
O 0.4923 0.7500 0.2919  4 Eu 2.27-2.49
O 0.5077 0.2500 0.7081  4 Eu 2.27-2.49
O 0.5789 0.2500 0.0844  5 Eu 2.42-2.63
O 0.6392 0.7500 0.5233  5 Eu 2.44-2.56
O 0.7219 0.7500 0.8010  5 Eu 2.31-2.57
O 0.7781 0.2500 0.3010  5 Eu 2.31-2.57
O 0.8608 0.2500 0.0233  5 Eu 2.44-2.56
O 0.9211 0.7500 0.5844  5 Eu 2.42-2.63
O 0.9923 0.7500 0.2081  4 Eu 2.27-2.49


6.
Entry from the Materials Project: a relaxed structure of ErNiSn2 (PBE-GGA).

Calculated values
Total magnetization in μB/f.u.: 0.00
DFT formation energy in eV/atom: -0.555

Lattice parameters (Å, degrees): 16.0717 4.4193 14.5826 90.00 90.00 90.00
With the nearest neighbours (Å) after each atom.
Fractional positions:
Er 0.1308 0.2500 0.2241  2 Ni 3.06, 8 Sn 3.13-3.42
Er 0.1453 0.7500 0.6029  4 Ni 3.11-3.25, 5 Sn 3.11-3.47
Er 0.1507 0.2500 0.9731  8 Sn 3.10-3.18, 5 Ni 3.27-3.40
Er 0.3493 0.7500 0.4731  8 Sn 3.10-3.18, 5 Ni 3.27-3.40
Er 0.3547 0.2500 0.1029  4 Ni 3.11-3.25, 5 Sn 3.11-3.47
Er 0.3692 0.7500 0.7241  2 Ni 3.06, 8 Sn 3.13-3.42
Er 0.6308 0.2500 0.2759  2 Ni 3.06, 8 Sn 3.13-3.42
Er 0.6453 0.7500 0.8971  4 Ni 3.11-3.25, 5 Sn 3.11-3.47
Er 0.6507 0.2500 0.5269  8 Sn 3.10-3.18, 5 Ni 3.27-3.40
Er 0.8493 0.7500 0.0269  8 Sn 3.10-3.18, 5 Ni 3.27-3.40
Er 0.8547 0.2500 0.3971  4 Ni 3.11-3.25, 5 Sn 3.11-3.47
Er 0.8692 0.7500 0.7759  2 Ni 3.06, 8 Sn 3.13-3.42
Ni 0.0547 0.7500 0.1059  5 Sn 2.53-2.75
Ni 0.1903 0.2500 0.7440  4 Sn 2.50-2.63
Ni 0.2005 0.2500 0.4515  5 Sn 2.53-2.67
Ni 0.2995 0.7500 0.9515  5 Sn 2.53-2.67
Ni 0.3097 0.7500 0.2440  4 Sn 2.50-2.63
Ni 0.4453 0.2500 0.6059  5 Sn 2.53-2.75
Ni 0.5547 0.7500 0.3941  5 Sn 2.53-2.75
Ni 0.6903 0.2500 0.7560  4 Sn 2.50-2.63
Ni 0.7005 0.2500 0.0485  5 Sn 2.53-2.67
Ni 0.7995 0.7500 0.5485  5 Sn 2.53-2.67
Ni 0.8097 0.7500 0.2560  4 Sn 2.50-2.63
Ni 0.9453 0.2500 0.8941  5 Sn 2.53-2.75
Sn 0.0183 0.7500 0.9214  3 Ni 2.53-2.75
Sn 0.0270 0.2500 0.7336  2 Ni 2.63-2.68
Sn 0.0433 0.2500 0.4464  1 Ni 2.53
Sn 0.1763 0.7500 0.3676  3 Ni 2.56-2.80
Sn 0.1811 0.7500 0.8230  3 Ni 2.50-2.67
Sn 0.2168 0.7500 0.1030  3 Ni 2.54-2.61
Sn 0.2832 0.2500 0.6030  3 Ni 2.54-2.61
Sn 0.3189 0.2500 0.3230  3 Ni 2.50-2.67
Sn 0.3237 0.2500 0.8676  3 Ni 2.56-2.80
Sn 0.4567 0.7500 0.9464  1 Ni 2.53
Sn 0.4730 0.7500 0.2336  2 Ni 2.63-2.68
Sn 0.4817 0.2500 0.4214  3 Ni 2.53-2.75
Sn 0.5183 0.7500 0.5786  3 Ni 2.53-2.75
Sn 0.5270 0.2500 0.7664  2 Ni 2.63-2.68
Sn 0.5433 0.2500 0.0536  1 Ni 2.53
Sn 0.6763 0.7500 0.1324  3 Ni 2.56-2.80
Sn 0.6811 0.7500 0.6770  3 Ni 2.50-2.67
Sn 0.7168 0.7500 0.3970  3 Ni 2.54-2.61
Sn 0.7832 0.2500 0.8970  3 Ni 2.54-2.61
Sn 0.8189 0.2500 0.1770  3 Ni 2.50-2.67
Sn 0.8237 0.2500 0.6324  3 Ni 2.56-2.80
Sn 0.9567 0.7500 0.5536  1 Ni 2.53
Sn 0.9730 0.7500 0.2664  2 Ni 2.63-2.68
Sn 0.9817 0.2500 0.0786  3 Ni 2.53-2.75